# 1
VASP calculation (PBE-GGA) on crystalline LiMg14SbO16 at its relaxed geometry.

a b c (Å): 8.635 8.634 4.329
angles (deg): 90.00 90.00 90.00
Atoms (fractional coordinates):
Li: 0.000 0.000 0.000
Mg: 0.500 0.000 0.000
Mg: 0.500 0.500 0.000
Mg: 0.000 0.231 0.500
Mg: 0.000 0.769 0.500
Mg: 0.500 0.247 0.500
Mg: 0.500 0.753 0.500
Mg: 0.245 0.000 0.500
Mg: 0.261 0.500 0.500
Mg: 0.755 0.000 0.500
Mg: 0.739 0.500 0.500
Mg: 0.253 0.239 0.000
Mg: 0.253 0.761 0.000
Mg: 0.747 0.239 0.000
Mg: 0.747 0.761 0.000
Sb: 0.000 0.500 0.000
O: 0.260 0.000 0.000
O: 0.264 0.500 0.000
O: 0.740 0.000 0.000
O: 0.736 0.500 0.000
O: 0.249 0.253 0.500
O: 0.249 0.747 0.500
O: 0.751 0.253 0.500
O: 0.751 0.747 0.500
O: 0.000 0.000 0.500
O: 0.000 0.500 0.500
O: 0.500 0.000 0.500
O: 0.500 0.500 0.500
O: 0.000 0.241 0.000
O: 0.000 0.759 0.000
O: 0.500 0.251 0.000
O: 0.500 0.749 0.000

## Properties
Relative energy among the computed polymorphs ... 0.00 eV/f.u.
Symmetry ... No. 47
Magnetization ... 0.00 Bohr magnetons per cell
Final energy ... -187.41 eV per cell
ΔE_f ... -90.79 eV/f.u.

# 2
VASP calculation (PBE-GGA) on crystalline LiMg6SbO8 at its relaxed geometry.

a b c (Å): 8.801 4.360 4.360
angles (deg): 90.00 90.00 90.00
Atoms (fractional coordinates):
Li: 0.000 0.000 0.000
Mg: 0.500 0.000 0.000
Mg: 0.500 0.500 0.500
Mg: 0.259 0.000 0.500
Mg: 0.741 0.000 0.500
Mg: 0.259 0.500 0.000
Mg: 0.741 0.500 0.000
Sb: 0.000 0.500 0.500
O: 0.260 0.000 0.000
O: 0.740 0.000 0.000
O: 0.265 0.500 0.500
O: 0.735 0.500 0.500
O: 0.000 0.000 0.500
O: 0.500 0.000 0.500
O: 0.000 0.500 0.000
O: 0.500 0.500 0.000

## Properties
Relative energy among the computed polymorphs ... 0.00 eV/f.u.
Symmetry ... No. 123
Magnetization ... 0.00 Bohr magnetons per cell
Final energy ... -92.25 eV per cell
ΔE_f ... -42.52 eV/f.u.

# 3
VASP calculation (PBE-GGA) on crystalline LiMg14SbO16 at its relaxed geometry.

a b c (Å): 8.650 8.650 4.329
angles (deg): 90.00 90.00 90.00
Atoms (fractional coordinates):
Li: 0.000 0.000 0.000
Mg: 0.000 0.500 0.000
Mg: 0.500 0.000 0.000
Mg: 0.000 0.241 0.500
Mg: 0.000 0.759 0.500
Mg: 0.500 0.235 0.500
Mg: 0.500 0.765 0.500
Mg: 0.241 0.000 0.500
Mg: 0.235 0.500 0.500
Mg: 0.759 0.000 0.500
Mg: 0.765 0.500 0.500
Mg: 0.238 0.238 0.000
Mg: 0.238 0.762 0.000
Mg: 0.762 0.238 0.000
Mg: 0.762 0.762 0.000
Sb: 0.500 0.500 0.000
O: 0.257 0.000 0.000
O: 0.239 0.500 0.000
O: 0.743 0.000 0.000
O: 0.761 0.500 0.000
O: 0.252 0.252 0.500
O: 0.252 0.748 0.500
O: 0.748 0.252 0.500
O: 0.748 0.748 0.500
O: 0.000 0.000 0.500
O: 0.000 0.500 0.500
O: 0.500 0.000 0.500
O: 0.500 0.500 0.500
O: 0.000 0.257 0.000
O: 0.000 0.743 0.000
O: 0.500 0.239 0.000
O: 0.500 0.761 0.000

## Properties
Relative energy among the computed polymorphs ... 0.08 eV/f.u.
Symmetry ... No. 123
Magnetization ... 0.00 Bohr magnetons per cell
Final energy ... -187.33 eV per cell
ΔE_f ... -90.71 eV/f.u.

# 4
VASP calculation (PBE-GGA) on crystalline LiMg6SbO8 at its relaxed geometry.

a b c (Å): 8.793 4.387 4.387
angles (deg): 90.00 90.00 90.00
Atoms (fractional coordinates):
Li: 0.000 0.000 0.000
Mg: 0.000 0.500 0.500
Mg: 0.500 0.500 0.500
Mg: 0.227 0.000 0.500
Mg: 0.773 0.000 0.500
Mg: 0.227 0.500 0.000
Mg: 0.773 0.500 0.000
Sb: 0.500 0.000 0.000
O: 0.243 0.000 0.000
O: 0.757 0.000 0.000
O: 0.254 0.500 0.500
O: 0.746 0.500 0.500
O: 0.000 0.000 0.500
O: 0.500 0.000 0.500
O: 0.000 0.500 0.000
O: 0.500 0.500 0.000

## Properties
Relative energy among the computed polymorphs ... 0.63 eV/f.u.
Symmetry ... No. 123
Final energy ... -91.62 eV per cell
ΔE_f ... -41.89 eV/f.u.

# 5
VASP calculation (PBE-GGA) on crystalline LiMg14SiO16 at its relaxed geometry.

a b c (Å): 8.511 8.495 4.255
angles (deg): 90.00 90.00 90.00
Atoms (fractional coordinates):
Li: 0.000 0.000 0.000
Mg: 0.500 0.000 0.000
Mg: 0.500 0.500 0.000
Mg: 0.000 0.241 0.500
Mg: 0.000 0.759 0.500
Mg: 0.500 0.248 0.500
Mg: 0.500 0.752 0.500
Mg: 0.244 0.000 0.500
Mg: 0.251 0.500 0.500
Mg: 0.756 0.000 0.500
Mg: 0.749 0.500 0.500
Mg: 0.249 0.244 0.000
Mg: 0.249 0.756 0.000
Mg: 0.751 0.244 0.000
Mg: 0.751 0.756 0.000
Si: 0.000 0.500 0.000
O: 0.255 0.000 0.000
O: 0.242 0.500 0.000
O: 0.745 0.000 0.000
O: 0.758 0.500 0.000
O: 0.249 0.252 0.500
O: 0.249 0.748 0.500
O: 0.751 0.252 0.500
O: 0.751 0.748 0.500
O: 0.000 0.000 0.500
O: 0.000 0.500 0.500
O: 0.500 0.000 0.500
O: 0.500 0.500 0.500
O: 0.000 0.274 0.000
O: 0.000 0.726 0.000
O: 0.500 0.254 0.000
O: 0.500 0.746 0.000

## Properties
Relative energy among the computed polymorphs ... 0.00 eV/f.u.
Symmetry ... No. 47
Magnetization ... 0.00 Bohr magnetons per cell
Final energy ... -191.05 eV per cell
ΔE_f ... -93.14 eV/f.u.

# 6
VASP calculation (PBE-GGA) on crystalline LiMg14SiO16 at its relaxed geometry.

a b c (Å): 8.512 8.512 4.253
angles (deg): 90.00 90.00 90.00
Atoms (fractional coordinates):
Li: 0.000 0.000 0.000
Mg: 0.000 0.500 0.000
Mg: 0.500 0.000 0.000
Mg: 0.000 0.242 0.500
Mg: 0.000 0.758 0.500
Mg: 0.500 0.246 0.500
Mg: 0.500 0.754 0.500
Mg: 0.242 0.000 0.500
Mg: 0.246 0.500 0.500
Mg: 0.758 0.000 0.500
Mg: 0.754 0.500 0.500
Mg: 0.243 0.243 0.000
Mg: 0.243 0.757 0.000
Mg: 0.757 0.243 0.000
Mg: 0.757 0.757 0.000
Si: 0.500 0.500 0.000
O: 0.260 0.000 0.000
O: 0.264 0.500 0.000
O: 0.740 0.000 0.000
O: 0.736 0.500 0.000
O: 0.252 0.252 0.500
O: 0.252 0.748 0.500
O: 0.748 0.252 0.500
O: 0.748 0.748 0.500
O: 0.000 0.000 0.500
O: 0.000 0.500 0.500
O: 0.500 0.000 0.500
O: 0.500 0.500 0.500
O: 0.000 0.260 0.000
O: 0.000 0.740 0.000
O: 0.500 0.264 0.000
O: 0.500 0.736 0.000

## Properties
Relative energy among the computed polymorphs ... 0.32 eV/f.u.
Symmetry ... No. 123
Magnetization ... 0.00 Bohr magnetons per cell
Final energy ... -190.73 eV per cell
ΔE_f ... -92.82 eV/f.u.

# 7
VASP calculation (PBE-GGA) on crystalline Li2Mg2Si4O11 at its relaxed geometry.

a b c (Å): 6.961 7.502 8.752
angles (deg): 99.46 101.06 104.81
Atoms (fractional coordinates):
Li: 0.610 0.794 0.196
Li: 0.142 0.754 0.152
Li: 0.390 0.206 0.804
Li: 0.858 0.246 0.848
Mg: 0.118 0.380 0.611
Mg: 0.369 0.620 0.399
Mg: 0.631 0.380 0.601
Mg: 0.882 0.620 0.389
Si: 0.760 0.608 0.968
Si: 0.960 0.226 0.233
Si: 0.521 0.224 0.226
Si: 0.233 0.025 0.405
Si: 0.240 0.392 0.032
Si: 0.767 0.975 0.595
Si: 0.479 0.776 0.774
Si: 0.040 0.774 0.767
O: 0.324 0.594 0.159
O: 0.975 0.740 0.933
O: 0.399 0.260 0.058
O: 0.414 0.590 0.630
O: 0.063 0.416 0.374
O: 0.676 0.406 0.841
O: 0.980 0.952 0.706
O: 0.290 0.849 0.818
O: 0.020 0.048 0.294
O: 0.675 0.805 0.436
O: 0.183 0.805 0.416
O: 0.025 0.260 0.067
O: 0.710 0.151 0.182
O: 0.381 0.039 0.274
O: 0.601 0.740 0.942
O: 0.817 0.195 0.584
O: 0.619 0.961 0.726
O: 0.937 0.584 0.626
O: 0.183 0.382 0.844
O: 0.325 0.195 0.564
O: 0.817 0.618 0.156
O: 0.586 0.410 0.370

## Properties
Symmetry ... No. 2
Magnetization ... 0.00 Bohr magnetons per cell
Final energy ... -269.61 eV per cell
ΔE_f ... -59.21 eV/f.u.

# 8
VASP calculation (PBE-GGA) on crystalline Li2MgTi3O8 at its relaxed geometry.

a b c (Å): 8.450 8.450 8.450
angles (deg): 90.00 90.00 90.00
Atoms (fractional coordinates):
Li: 0.002 0.498 0.502
Li: 0.125 0.875 0.375
Li: 0.375 0.125 0.875
Li: 0.498 0.502 0.002
Li: 0.502 0.002 0.498
Li: 0.625 0.625 0.625
Li: 0.875 0.375 0.125
Li: 0.998 0.998 0.998
Mg: 0.247 0.747 0.753
Mg: 0.253 0.253 0.253
Mg: 0.747 0.753 0.247
Mg: 0.753 0.247 0.747
Ti: 0.120 0.627 0.134
Ti: 0.127 0.366 0.880
Ti: 0.134 0.120 0.627
Ti: 0.366 0.880 0.127
Ti: 0.373 0.634 0.380
Ti: 0.380 0.373 0.634
Ti: 0.620 0.873 0.866
Ti: 0.627 0.134 0.120
Ti: 0.634 0.380 0.373
Ti: 0.866 0.620 0.873
Ti: 0.873 0.866 0.620
Ti: 0.880 0.127 0.366
O: 0.107 0.128 0.389
O: 0.112 0.612 0.888
O: 0.111 0.893 0.628
O: 0.122 0.144 0.859
O: 0.128 0.389 0.107
O: 0.141 0.622 0.356
O: 0.139 0.361 0.639
O: 0.144 0.859 0.122
O: 0.356 0.141 0.622
O: 0.361 0.639 0.139
O: 0.359 0.378 0.856
O: 0.372 0.611 0.607
O: 0.378 0.856 0.359
O: 0.389 0.107 0.128
O: 0.388 0.388 0.388
O: 0.393 0.872 0.889
O: 0.607 0.372 0.611
O: 0.612 0.888 0.112
O: 0.611 0.607 0.372
O: 0.622 0.356 0.141
O: 0.628 0.111 0.893
O: 0.641 0.878 0.644
O: 0.639 0.139 0.361
O: 0.644 0.641 0.878
O: 0.856 0.359 0.378
O: 0.861 0.861 0.861
O: 0.859 0.122 0.144
O: 0.872 0.889 0.393
O: 0.878 0.644 0.641
O: 0.889 0.393 0.872
O: 0.888 0.112 0.612
O: 0.893 0.628 0.111

## Properties
Relative energy among the computed polymorphs ... 0.00 eV/f.u.
Symmetry ... No. 198
Magnetization ... 0.00 Bohr magnetons per cell
Final energy ... -434.15 eV per cell
ΔE_f ... -45.34 eV/f.u.